This record from Materials Project describes an optimized crystal structure of SrTaNO2. The functional is PBE-GGA.

## Properties
The value obtained for the total energy is -8.748 eV per atom. The piezoelectric modulus e_max is 10.55 C/m2. Its formation energy is -2667 meV per atom. The density comes out at 7.75 g cm⁻³. The magnetization is 0.0 μB/cell. For the MP2020-corrected energy, the calculation gives -9.02 eV per atom.

Structure (extended XYZ):
```
20
Lattice="5.731 0.000 0.000 -0.009 5.743 0.000 -0.002 -0.008 8.190" Properties=species:S:1:pos:R:3 pbc="T T T"
Sr 0.000 0.000 0.000
Sr 0.143 -0.002 4.285
Sr 2.917 2.879 8.185
Sr 3.060 2.898 4.283
Ta 0.098 2.782 6.275
Ta 0.113 2.882 2.032
Ta 2.955 0.077 6.222
Ta 2.970 0.003 2.232
N 0.132 3.079 0.099
N 1.445 1.294 6.369
N 2.965 0.159 4.134
N 4.314 1.520 6.357
O 0.080 2.636 4.124
O 1.383 1.237 1.932
O 1.710 4.131 6.042
O 1.718 4.102 2.278
O 3.038 5.431 0.085
O 4.250 1.567 1.935
O 4.577 4.413 6.031
O 4.581 4.443 2.283
```